# 1
{"formula": "LiHfMg14", "functional": "PBE", "state": "relaxed", "lattice": [[6.394, 0.000, 0.000], [-3.197, 5.537, 0.000], [0.000, 0.000, 10.141]], "species": ["Li", "Hf", "Mg", "Mg", "Mg", "Mg", "Mg", "Mg", "Mg", "Mg", "Mg", "Mg", "Mg", "Mg", "Mg", "Mg"], "frac_coords": [[0.000, 0.000, 0.000], [0.000, 0.000, 0.500], [0.001, 0.501, 0.000], [0.004, 0.502, 0.500], [0.164, 0.329, 0.250], [0.164, 0.329, 0.750], [0.164, 0.836, 0.250], [0.164, 0.836, 0.750], [0.498, 0.502, 0.500], [0.498, 0.996, 0.500], [0.499, 0.501, 0.000], [0.499, 0.999, 0.000], [0.667, 0.333, 0.251], [0.667, 0.333, 0.749], [0.671, 0.836, 0.250], [0.671, 0.836, 0.750]], "ef_ev_per_atom": 0.041, "space_group": "P-6m2 (187)", "polymorph_energy_mev_per_atom": 0, "magmom_total_mub_per_fu": 0.0}


# 2
{"formula": "DyAsPt", "functional": "PBE", "state": "relaxed", "lattice": [[4.281, 0.000, 0.000], [-2.140, 3.707, 0.000], [0.000, 0.000, 15.582]], "species": ["Dy", "Dy", "Dy", "Dy", "As", "As", "As", "As", "Pt", "Pt", "Pt", "Pt"], "frac_coords": [[0.000, 0.000, 0.000], [0.000, 0.000, 0.250], [0.000, 0.000, 0.500], [0.000, 0.000, 0.750], [0.333, 0.667, 0.117], [0.333, 0.667, 0.383], [0.667, 0.333, 0.617], [0.667, 0.333, 0.883], [0.333, 0.667, 0.634], [0.333, 0.667, 0.866], [0.667, 0.333, 0.134], [0.667, 0.333, 0.366]], "ef_ev_per_atom": -1.205, "space_group": "P6_3/mmc (194)"}


# 3
{"formula": "BaTi6O12", "functional": "PBE", "state": "relaxed", "lattice": [[7.145, -4.480, 0.000], [7.145, 4.480, 0.000], [-6.950, 0.000, 7.290]], "species": ["Ba", "Ba", "Ti", "Ti", "Ti", "Ti", "Ti", "Ti", "Ti", "Ti", "Ti", "Ti", "Ti", "Ti", "O", "O", "O", "O", "O", "O", "O", "O", "O", "O", "O", "O", "O", "O", "O", "O", "O", "O", "O", "O", "O", "O", "O", "O"], "frac_coords": [[0.217, 0.783, 0.000], [0.783, 0.217, 0.000], [0.016, 0.686, 0.518], [0.166, 0.166, 0.820], [0.171, 0.502, 0.183], [0.314, 0.984, 0.482], [0.351, 0.351, 0.521], [0.498, 0.829, 0.817], [0.502, 0.171, 0.183], [0.649, 0.649, 0.479], [0.686, 0.016, 0.518], [0.829, 0.498, 0.817], [0.834, 0.834, 0.180], [0.984, 0.314, 0.482], [0.127, 0.792, 0.278], [0.129, 0.463, 0.947], [0.153, 0.153, 0.616], [0.157, 0.157, 0.351], [0.174, 0.508, 0.645], [0.176, 0.510, 0.382], [0.201, 0.201, 0.053], [0.208, 0.873, 0.722], [0.461, 0.461, 0.283], [0.463, 0.129, 0.947], [0.490, 0.824, 0.618], [0.492, 0.826, 0.355], [0.508, 0.174, 0.645], [0.510, 0.176, 0.382], [0.537, 0.871, 0.053], [0.539, 0.539, 0.717], [0.792, 0.127, 0.278], [0.799, 0.799, 0.947], [0.824, 0.490, 0.618], [0.826, 0.492, 0.355], [0.843, 0.843, 0.649], [0.847, 0.847, 0.384], [0.871, 0.537, 0.053], [0.873, 0.208, 0.722]], "ef_ev_per_atom": -3.473, "space_group": "C2/m (12)"}


# 4
{"formula": "CeB2C", "functional": "PBE", "state": "relaxed", "lattice": [[3.306, 1.909, 3.759], [-3.306, 1.909, 3.759], [0.000, -3.818, 3.759]], "species": ["Ce", "Ce", "Ce", "B", "B", "B", "B", "B", "B", "C", "C", "C"], "frac_coords": [[0.000, 0.000, 0.000], [0.314, 0.314, 0.314], [0.686, 0.686, 0.686], [0.225, 0.500, 0.775], [0.225, 0.775, 0.500], [0.500, 0.225, 0.775], [0.500, 0.775, 0.225], [0.775, 0.225, 0.500], [0.775, 0.500, 0.225], [0.000, 0.000, 0.500], [0.000, 0.500, 0.000], [0.500, 0.000, 0.000]], "ef_ev_per_atom": -0.527, "space_group": "R-3m (166)"}


# 5
{"formula": "NaB3O5", "functional": "PBE", "state": "relaxed", "lattice": [[9.157, 0.000, 0.000], [0.000, 11.135, 0.000], [-0.173, 0.000, 12.230]], "species": ["Na", "Na", "Na", "Na", "Na", "Na", "Na", "Na", "Na", "Na", "Na", "Na", "B", "B", "B", "B", "B", "B", "B", "B", "B", "B", "B", "B", "B", "B", "B", "B", "B", "B", "B", "B", "B", "B", "B", "B", "B", "B", "B", "B", "B", "B", "B", "B", "B", "B", "B", "B", "O", "O", "O", "O", "O", "O", "O", "O", "O", "O", "O", "O", "O", "O", "O", "O", "O", "O", "O", "O", "O", "O", "O", "O", "O", "O", "O", "O", "O", "O", "O", "O", "O", "O", "O", "O", "O", "O", "O", "O", "O", "O", "O", "O", "O", "O", "O", "O", "O", "O", "O", "O", "O", "O", "O", "O", "O", "O", "O", "O"], "frac_coords": [[0.059, 0.161, 0.215], [0.059, 0.339, 0.715], [0.388, 0.094, 0.079], [0.388, 0.406, 0.579], [0.399, 0.631, 0.064], [0.399, 0.869, 0.564], [0.601, 0.131, 0.436], [0.601, 0.369, 0.936], [0.612, 0.594, 0.421], [0.612, 0.906, 0.921], [0.941, 0.661, 0.285], [0.941, 0.839, 0.785], [0.014, 0.220, 0.918], [0.014, 0.280, 0.418], [0.145, 0.602, 0.465], [0.145, 0.898, 0.965], [0.204, 0.621, 0.665], [0.204, 0.879, 0.165], [0.249, 0.157, 0.463], [0.249, 0.343, 0.963], [0.276, 0.118, 0.674], [0.276, 0.382, 0.174], [0.285, 0.541, 0.847], [0.285, 0.959, 0.347], [0.320, 0.541, 0.313], [0.320, 0.959, 0.813], [0.359, 0.171, 0.858], [0.359, 0.329, 0.358], [0.359, 0.742, 0.789], [0.359, 0.758, 0.289], [0.641, 0.242, 0.711], [0.641, 0.258, 0.211], [0.641, 0.671, 0.642], [0.641, 0.829, 0.142], [0.680, 0.041, 0.187], [0.680, 0.459, 0.687], [0.715, 0.041, 0.653], [0.715, 0.459, 0.153], [0.724, 0.618, 0.826], [0.724, 0.882, 0.326], [0.751, 0.657, 0.037], [0.751, 0.843, 0.537], [0.796, 0.121, 0.835], [0.796, 0.379, 0.335], [0.855, 0.102, 0.035], [0.855, 0.398, 0.535], [0.986, 0.720, 0.582], [0.986, 0.780, 0.082], [0.019, 0.673, 0.479], [0.019, 0.827, 0.979], [0.061, 0.680, 0.673], [0.061, 0.820, 0.173], [0.116, 0.192, 0.403], [0.116, 0.308, 0.903], [0.175, 0.572, 0.360], [0.175, 0.928, 0.860], [0.219, 0.521, 0.747], [0.219, 0.979, 0.247], [0.226, 0.165, 0.580], [0.226, 0.335, 0.080], [0.226, 0.568, 0.555], [0.226, 0.932, 0.055], [0.296, 0.501, 0.198], [0.296, 0.999, 0.698], [0.301, 0.037, 0.432], [0.301, 0.463, 0.932], [0.306, 0.205, 0.755], [0.306, 0.295, 0.255], [0.317, 0.715, 0.684], [0.317, 0.785, 0.184], [0.348, 0.655, 0.870], [0.348, 0.845, 0.370], [0.371, 0.246, 0.440], [0.371, 0.254, 0.940], [0.393, 0.053, 0.879], [0.393, 0.447, 0.379], [0.415, 0.648, 0.316], [0.415, 0.852, 0.816], [0.585, 0.148, 0.184], [0.585, 0.352, 0.684], [0.607, 0.553, 0.621], [0.607, 0.947, 0.121], [0.629, 0.746, 0.060], [0.629, 0.754, 0.560], [0.652, 0.155, 0.630], [0.652, 0.345, 0.130], [0.683, 0.215, 0.816], [0.683, 0.285, 0.316], [0.694, 0.705, 0.745], [0.694, 0.795, 0.245], [0.699, 0.537, 0.068], [0.699, 0.963, 0.568], [0.704, 0.001, 0.302], [0.704, 0.499, 0.802], [0.774, 0.068, 0.945], [0.774, 0.432, 0.445], [0.774, 0.665, 0.920], [0.774, 0.835, 0.420], [0.781, 0.021, 0.753], [0.781, 0.479, 0.253], [0.825, 0.072, 0.140], [0.825, 0.428, 0.640], [0.884, 0.692, 0.097], [0.884, 0.808, 0.597], [0.939, 0.180, 0.827], [0.939, 0.320, 0.327], [0.981, 0.173, 0.021], [0.981, 0.327, 0.521]], "ef_ev_per_atom": -2.787, "space_group": "P2_1/c (14)", "magmom_total_mub_per_fu": 0.0}


# 6
{"formula": "Al3FeSi2", "functional": "PBE", "state": "relaxed", "lattice": [[-3.021, 3.021, 4.778], [3.021, -3.021, 4.778], [3.021, 3.021, -4.778]], "species": ["Al", "Al", "Al", "Al", "Al", "Al", "Fe", "Fe", "Si", "Si", "Si", "Si"], "frac_coords": [[0.000, 0.000, 0.000], [0.307, 0.807, 0.821], [0.486, 0.307, 0.500], [0.500, 0.500, 0.000], [0.807, 0.986, 0.500], [0.986, 0.486, 0.179], [0.257, 0.257, 0.000], [0.757, 0.757, 0.000], [0.003, 0.503, 0.795], [0.208, 0.003, 0.500], [0.503, 0.708, 0.500], [0.708, 0.208, 0.205]], "ef_ev_per_atom": -0.209, "space_group": "I4cm (108)", "polymorph_energy_mev_per_atom": 23, "magmom_total_mub_per_fu": 0.0}


# 7
{"formula": "Ti2TcRh", "functional": "PBE", "state": "relaxed", "lattice": [[0.000, 3.102, 3.102], [3.102, 0.000, 3.102], [3.102, 3.102, 0.000]], "species": ["Ti", "Ti", "Tc", "Rh"], "frac_coords": [[0.250, 0.250, 0.250], [0.750, 0.750, 0.750], [0.000, 0.000, 0.000], [0.500, 0.500, 0.500]], "ef_ev_per_atom": -0.733, "space_group": "Fm-3m (225)"}


# 8
{"formula": "Na15Mg4Ta8Si9P9O72", "functional": "PBE", "state": "relaxed", "lattice": [[8.950, 0.000, 0.000], [4.473, 7.768, 0.000], [0.081, -0.017, 22.479]], "species": ["Na", "Na", "Na", "Na", "Na", "Na", "Na", "Na", "Na", "Na", "Na", "Na", "Na", "Na", "Na", "Mg", "Mg", "Mg", "Mg", "Ta", "Ta", "Ta", "Ta", "Ta", "Ta", "Ta", "Ta", "Si", "Si", "Si", "Si", "Si", "Si", "Si", "Si", "Si", "P", "P", "P", "P", "P", "P", "P", "P", "P", "O", "O", "O", "O", "O", "O", "O", "O", "O", "O", "O", "O", "O", "O", "O", "O", "O", "O", "O", "O", "O", "O", "O", "O", "O", "O", "O", "O", "O", "O", "O", "O", "O", "O", "O", "O", "O", "O", "O", "O", "O", "O", "O", "O", "O", "O", "O", "O", "O", "O", "O", "O", "O", "O", "O", "O", "O", "O", "O", "O", "O", "O", "O", "O", "O", "O", "O", "O", "O", "O", "O", "O"], "frac_coords": [[0.000, 0.000, 0.000], [0.000, 0.269, 0.499], [0.011, 0.620, 0.248], [0.022, 0.610, 0.749], [0.335, 0.340, 0.329], [0.338, 0.592, 0.830], [0.349, 0.969, 0.579], [0.356, 0.952, 0.080], [0.388, 0.265, 0.000], [0.390, 0.611, 0.499], [0.679, 0.648, 0.656], [0.683, 0.291, 0.415], [0.690, 0.305, 0.915], [0.725, 0.949, 0.829], [0.986, 0.944, 0.329], [0.013, 0.622, 0.389], [0.014, 0.615, 0.889], [0.682, 0.286, 0.559], [0.683, 0.295, 0.060], [0.017, 0.626, 0.599], [0.018, 0.623, 0.099], [0.341, 0.962, 0.220], [0.350, 0.963, 0.721], [0.351, 0.955, 0.429], [0.356, 0.954, 0.930], [0.682, 0.293, 0.761], [0.682, 0.296, 0.260], [0.054, 0.253, 0.326], [0.346, 0.254, 0.826], [0.353, 0.664, 0.326], [0.393, 0.580, 0.656], [0.396, 0.288, 0.156], [0.646, 0.662, 0.825], [0.683, 0.006, 0.657], [0.970, 0.002, 0.156], [0.974, 0.286, 0.655], [0.011, 0.337, 0.991], [0.012, 0.916, 0.489], [0.060, 0.963, 0.827], [0.306, 0.624, 0.990], [0.308, 0.335, 0.490], [0.638, 0.957, 0.324], [0.681, 0.583, 0.157], [0.727, 0.626, 0.491], [0.729, 0.911, 0.990], [0.000, 0.832, 0.433], [0.041, 0.804, 0.832], [0.044, 0.794, 0.544], [0.045, 0.423, 0.047], [0.045, 0.434, 0.329], [0.147, 0.988, 0.884], [0.152, 0.122, 0.385], [0.166, 0.124, 0.669], [0.167, 0.969, 0.169], [0.178, 0.937, 0.773], [0.182, 0.650, 0.329], [0.183, 0.653, 0.046], [0.184, 0.145, 0.271], [0.184, 0.426, 0.545], [0.186, 0.150, 0.988], [0.190, 0.925, 0.488], [0.191, 0.446, 0.829], [0.198, 0.461, 0.151], [0.201, 0.600, 0.651], [0.224, 0.603, 0.934], [0.226, 0.438, 0.434], [0.310, 0.800, 0.988], [0.316, 0.153, 0.487], [0.330, 0.146, 0.771], [0.333, 0.790, 0.271], [0.367, 0.771, 0.671], [0.371, 0.121, 0.169], [0.379, 0.124, 0.885], [0.383, 0.758, 0.386], [0.483, 0.458, 0.717], [0.485, 0.316, 0.498], [0.485, 0.321, 0.216], [0.485, 0.468, 0.998], [0.499, 0.260, 0.096], [0.509, 0.515, 0.598], [0.509, 0.762, 0.882], [0.517, 0.989, 0.380], [0.524, 0.964, 0.668], [0.525, 0.471, 0.320], [0.528, 0.764, 0.170], [0.532, 0.253, 0.821], [0.541, 0.783, 0.768], [0.541, 0.795, 0.487], [0.541, 0.929, 0.987], [0.546, 0.937, 0.270], [0.642, 0.120, 0.600], [0.644, 0.129, 0.320], [0.647, 0.507, 0.103], [0.648, 0.478, 0.821], [0.697, 0.472, 0.496], [0.698, 0.095, 0.996], [0.712, 0.465, 0.214], [0.715, 0.087, 0.720], [0.810, 0.651, 0.549], [0.818, 0.795, 0.046], [0.818, 0.806, 0.331], [0.823, 0.661, 0.829], [0.833, 0.832, 0.934], [0.840, 0.601, 0.438], [0.844, 0.325, 0.713], [0.847, 0.598, 0.152], [0.852, 0.095, 0.217], [0.852, 0.806, 0.651], [0.862, 0.303, 0.997], [0.865, 0.100, 0.495], [0.873, 0.250, 0.320], [0.880, 0.127, 0.821], [0.900, 0.108, 0.096], [0.901, 0.259, 0.594], [0.987, 0.466, 0.651], [0.989, 0.808, 0.151], [0.997, 0.439, 0.936]], "ef_ev_per_atom": -2.965, "space_group": "P1 (1)", "magmom_total_mub_per_fu": 0.0}


# 9
{"formula": "KHfMg14", "functional": "PBE", "state": "relaxed", "lattice": [[6.594, 0.000, 0.000], [-3.297, 5.711, 0.000], [0.000, 0.000, 10.291]], "species": ["K", "Hf", "Mg", "Mg", "Mg", "Mg", "Mg", "Mg", "Mg", "Mg", "Mg", "Mg", "Mg", "Mg", "Mg", "Mg"], "frac_coords": [[0.000, 0.000, 0.000], [0.000, 0.000, 0.500], [0.002, 0.501, 0.500], [0.007, 0.504, 0.000], [0.169, 0.337, 0.261], [0.169, 0.337, 0.739], [0.169, 0.831, 0.261], [0.169, 0.831, 0.739], [0.496, 0.504, 0.000], [0.496, 0.993, 0.000], [0.499, 0.501, 0.500], [0.499, 0.998, 0.500], [0.663, 0.831, 0.261], [0.663, 0.831, 0.739], [0.667, 0.333, 0.249], [0.667, 0.333, 0.751]], "ef_ev_per_atom": 0.143, "space_group": "P-6m2 (187)", "polymorph_energy_mev_per_atom": 0, "magmom_total_mub_per_fu": 0.1}


# 10
{"formula": "MgAl2O4", "functional": "PBE", "state": "relaxed", "lattice": [[-2.855, 2.892, 4.055], [2.855, -2.892, 4.055], [2.855, 2.892, -4.055]], "species": ["Mg", "Mg", "Al", "Al", "Al", "Al", "O", "O", "O", "O", "O", "O", "O", "O"], "frac_coords": [[0.500, 0.000, 0.000], [0.500, 0.500, 0.500], [0.000, 0.000, 0.000], [0.115, 0.365, 0.750], [0.500, 0.000, 0.500], [0.885, 0.635, 0.250], [0.236, 0.235, 0.001], [0.246, 0.231, 0.485], [0.246, 0.761, 0.015], [0.266, 0.765, 0.501], [0.734, 0.235, 0.499], [0.754, 0.239, 0.985], [0.754, 0.769, 0.515], [0.764, 0.765, 0.999]], "ef_ev_per_atom": -3.327, "space_group": "Imma (74)", "polymorph_energy_mev_per_atom": 47}


# 11
{"formula": "ScCoSi", "functional": "PBE", "state": "relaxed", "lattice": [[6.392, 0.000, 0.000], [0.000, 3.976, 0.000], [0.000, 0.000, 6.867]], "species": ["Sc", "Sc", "Sc", "Sc", "Co", "Co", "Co", "Co", "Si", "Si", "Si", "Si"], "frac_coords": [[0.004, 0.250, 0.195], [0.496, 0.750, 0.695], [0.504, 0.250, 0.305], [0.996, 0.750, 0.805], [0.153, 0.750, 0.440], [0.347, 0.250, 0.940], [0.653, 0.750, 0.060], [0.847, 0.250, 0.560], [0.207, 0.250, 0.610], [0.293, 0.750, 0.110], [0.707, 0.250, 0.890], [0.793, 0.750, 0.390]], "ef_ev_per_atom": -0.819, "space_group": "Pnma (62)"}